A plane-wave DFT calculation with GGA-PBE was carried out for a relaxed structure of PdPb4Au.

## Properties
Space group: I422

abc: 5.8820 5.8820 5.8820
angles: 104.20 104.20 120.61
Closest atoms and distances in Å follow each position.
Atoms (fractional coordinates):
Pd  0.5000  0.5000  0.0000  2 Au 2.91, 8 Pb 3.08
Pb  0.9093  0.4093  0.8185  2 Au 3.08, 2 Pd 3.08, 3 Pb 3.26-3.45
Pb  0.5907  0.0907  0.1815  2 Pd 3.08, 2 Au 3.08, 3 Pb 3.26-3.45
Pb  0.0907  0.9093  0.5000  2 Pd 3.08, 2 Au 3.08, 3 Pb 3.26-3.45
Pb  0.4093  0.5907  0.5000  2 Pd 3.08, 2 Au 3.08, 3 Pb 3.26-3.45
Au  0.0000  0.0000  0.0000  2 Pd 2.91, 8 Pb 3.08



A plane-wave DFT calculation with GGA-PBE was carried out for a relaxed structure of PrPbAu.

## Properties
Space group: P6_3/mmc
Size of the total moment: 0.012 μB per formula unit

abc: 4.9074 4.9074 7.7938
angles: 90.00 90.00 120.00
Closest atoms and distances in Å follow each position.
Atoms (fractional coordinates):
Pr  0.0000  0.0000  0.5000  6 Pb 3.44, 6 Au 3.44
Pr  0.0000  0.0000  0.0000  6 Au 3.44, 6 Pb 3.44
Pb  0.3333  0.6667  0.7500  3 Au 2.83
Pb  0.6667  0.3333  0.2500  3 Au 2.83
Au  0.3333  0.6667  0.2500  3 Pb 2.83
Au  0.6667  0.3333  0.7500  3 Pb 2.83



A plane-wave DFT calculation with GGA-PBE was carried out for a relaxed structure of SmPbAu2.

## Properties
Space group: Fm-3m

abc: 5.1130 5.1130 5.1130
angles: 60.00 60.00 60.00
Closest atoms and distances in Å follow each position.
Atoms (fractional coordinates):
Sm  0.5000  0.5000  0.5000  8 Au 3.13
Pb  0.0000  0.0000  0.0000  8 Au 3.13
Au  0.2500  0.2500  0.2500  4 Sm 3.13, 4 Pb 3.13
Au  0.7500  0.7500  0.7500  4 Sm 3.13, 4 Pb 3.13



A plane-wave DFT calculation with GGA-PBE was carried out for a relaxed structure of ThPbAu2.

## Properties
Space group: Fm-3m

abc: 5.1625 5.1625 5.1625
angles: 60.00 60.00 60.00
Closest atoms and distances in Å follow each position.
Atoms (fractional coordinates):
Th  0.0000  0.0000  0.0000  8 Au 3.16
Pb  0.5000  0.5000  0.5000  8 Au 3.16
Au  0.7500  0.7500  0.7500  4 Th 3.16, 4 Pb 3.16
Au  0.2500  0.2500  0.2500  4 Th 3.16, 4 Pb 3.16



A plane-wave DFT calculation with GGA-PBE was carried out for a relaxed structure of Pm2PdAu.

## Properties
Space group: Fm-3m

abc: 5.1628 5.1628 5.1628
angles: 60.00 60.00 60.00
Closest atoms and distances in Å follow each position.
Atoms (fractional coordinates):
Pm  0.2500  0.2500  0.2500  4 Au 3.16, 4 Pd 3.16
Pm  0.7500  0.7500  0.7500  4 Au 3.16, 4 Pd 3.16
Pd  0.0000  0.0000  0.0000  8 Pm 3.16
Au  0.5000  0.5000  0.5000  8 Pm 3.16



A plane-wave DFT calculation with GGA-PBE was carried out for a relaxed structure of Sn2Pd3Au.

## Properties
Space group: P-3m1
Size of the total moment: 0.000 μB per formula unit

abc: 4.6261 4.6261 5.7930
angles: 90.00 90.00 120.00
Closest atoms and distances in Å follow each position.
Atoms (fractional coordinates):
Sn  0.3333  0.6667  0.2191  8 Pd 2.69-2.96
Sn  0.6667  0.3333  0.7809  8 Pd 2.69-2.96
Pd  0.3333  0.6667  0.7238  5 Sn 2.69-2.92, 3 Au 2.97
Pd  0.6667  0.3333  0.2762  5 Sn 2.69-2.92, 3 Au 2.97
Pd  0.0000  0.0000  0.0000  2 Au 2.90, 6 Sn 2.96, 6 Pd 3.11
Au  0.0000  0.0000  0.5000  8 Pd 2.90-2.97, 6 Sn 3.13



Values of E_form, in order: -0.132 -0.580 -0.610 -0.542 -0.775 -0.416, all in eV/atom.
Values of calculated total energy, in order: -24.1 -27.0 -17.4 -19.8 -21.1 -29.3, all in eV per cell.